Record 1
This record from Materials Project describes a relaxed Ba3UFeS6 crystal. The functional is PBE-GGA. Values from VASP.

Quantum ESPRESSO input file:
```
&SYSTEM
  ibrav = 0, nat = 22, ntyp = 4
/
ATOMIC_SPECIES
Ba 137.33 Ba.upf
U 238.03 U.upf
Fe 55.84 Fe.upf
S 32.06 S.upf
CELL_PARAMETERS angstrom
6.102 3.523 4.455
-6.102 3.523 4.455
0.000 -7.046 4.455
ATOMIC_POSITIONS crystal
Ba 0.133 0.750 0.367
Ba 0.250 0.633 0.867
Ba 0.367 0.133 0.750
Ba 0.633 0.867 0.250
Ba 0.750 0.367 0.133
Ba 0.867 0.250 0.633
U 0.250 0.250 0.250
U 0.750 0.750 0.750
Fe 0.000 0.000 0.000
Fe 0.500 0.500 0.500
S 0.033 0.913 0.703
S 0.087 0.297 0.967
S 0.203 0.413 0.533
S 0.297 0.967 0.087
S 0.413 0.533 0.203
S 0.467 0.797 0.587
S 0.533 0.203 0.413
S 0.587 0.467 0.797
S 0.703 0.033 0.913
S 0.797 0.587 0.467
S 0.913 0.703 0.033
S 0.967 0.087 0.297
```

Summary:
- total magnetic moment (μB per formula unit) = 4.00
- calculated formation energy (eV/f.u.) = -20.50
- V (Å³ per atom) = 26.11
- symmetry = No. 167

***

Record 2
This record from Materials Project describes a relaxed RbSm2Cl5 crystal. The functional is PBE-GGA. Values from VASP.

Quantum ESPRESSO input file:
```
&SYSTEM
  ibrav = 0, nat = 32, ntyp = 3
/
ATOMIC_SPECIES
Rb 85.47 Rb.upf
Sm 150.36 Sm.upf
Cl 35.45 Cl.upf
CELL_PARAMETERS angstrom
8.979 0.000 0.000
0.000 7.143 0.000
-0.207 0.000 13.391
ATOMIC_POSITIONS crystal
Rb 0.000 0.068 0.163
Rb 0.000 0.432 0.663
Rb 0.000 0.568 0.337
Rb 0.000 0.932 0.837
Sm 0.304 0.527 0.999
Sm 0.304 0.973 0.499
Sm 0.491 0.103 0.159
Sm 0.491 0.397 0.659
Sm 0.509 0.603 0.341
Sm 0.509 0.897 0.841
Sm 0.696 0.027 0.501
Sm 0.696 0.473 0.001
Cl 0.041 0.165 0.422
Cl 0.041 0.335 0.922
Cl 0.264 0.138 0.687
Cl 0.264 0.362 0.187
Cl 0.274 0.657 0.792
Cl 0.274 0.843 0.292
Cl 0.299 0.554 0.499
Cl 0.299 0.946 0.999
Cl 0.476 0.195 0.367
Cl 0.476 0.305 0.867
Cl 0.524 0.695 0.133
Cl 0.524 0.805 0.633
Cl 0.701 0.054 0.001
Cl 0.701 0.446 0.501
Cl 0.726 0.157 0.708
Cl 0.726 0.343 0.208
Cl 0.736 0.638 0.813
Cl 0.736 0.862 0.313
Cl 0.959 0.665 0.078
Cl 0.959 0.835 0.578
```

Summary:
- total magnetic moment (μB per formula unit) = 0.00
- calculated formation energy (eV/f.u.) = -18.49
- V (Å³ per atom) = 26.84
- symmetry = No. 14

***

Record 3
This record from Materials Project describes a relaxed Te6Mo3WSe2 crystal. The functional is PBE-GGA. Values from VASP.

Quantum ESPRESSO input file:
```
&SYSTEM
  ibrav = 0, nat = 12, ntyp = 4
/
ATOMIC_SPECIES
Te 127.60 Te.upf
Mo 95.94 Mo.upf
W 183.84 W.upf
Se 78.96 Se.upf
CELL_PARAMETERS angstrom
3.499 0.000 0.000
-1.750 3.030 0.000
0.000 0.000 39.560
ATOMIC_POSITIONS crystal
Te 0.000 0.000 0.000
Te 0.000 0.000 0.093
Te 0.000 0.000 0.375
Te 0.000 0.000 0.469
Te 0.333 0.667 0.812
Te 0.333 0.667 0.905
Mo 0.000 0.000 0.234
Mo 0.000 0.000 0.858
Mo 0.333 0.667 0.046
W 0.333 0.667 0.422
Se 0.333 0.667 0.193
Se 0.333 0.667 0.275
```

Summary:
- total magnetic moment (μB per formula unit) = 0.00
- calculated formation energy (eV/f.u.) = -4.60
- relative energy among the computed polymorphs (meV per atom) = 19
- V (Å³ per atom) = 34.96
- symmetry = No. 156

***

Record 4
This record from Materials Project describes a relaxed LaPt5 crystal. The functional is PBE-GGA. Values from VASP.

Quantum ESPRESSO input file:
```
&SYSTEM
  ibrav = 0, nat = 6, ntyp = 2
/
ATOMIC_SPECIES
La 138.91 La.upf
Pt 195.08 Pt.upf
CELL_PARAMETERS angstrom
5.457 0.000 0.000
-2.728 4.726 0.000
0.000 0.000 4.448
ATOMIC_POSITIONS crystal
La 0.000 0.000 0.000
Pt 0.000 0.500 0.500
Pt 0.333 0.667 0.000
Pt 0.500 0.000 0.500
Pt 0.500 0.500 0.500
Pt 0.667 0.333 0.000
```

Summary:
- calculated formation energy (eV/f.u.) = -4.51
- V (Å³ per atom) = 19.12
- symmetry = No. 191

***

Record 5
This record from Materials Project describes a relaxed NdSn6Ru4 crystal. The functional is PBE-GGA. Values from VASP.

Quantum ESPRESSO input file:
```
&SYSTEM
  ibrav = 0, nat = 11, ntyp = 3
/
ATOMIC_SPECIES
Nd 144.24 Nd.upf
Sn 118.71 Sn.upf
Ru 101.07 Ru.upf
CELL_PARAMETERS angstrom
-3.473 3.473 4.943
3.473 -3.473 4.943
3.473 3.473 -4.943
ATOMIC_POSITIONS crystal
Nd 0.000 0.000 0.000
Sn 0.000 0.500 0.500
Sn 0.118 0.470 0.000
Sn 0.470 0.118 0.000
Sn 0.500 0.000 0.500
Sn 0.530 0.530 0.648
Sn 0.882 0.882 0.352
Ru 0.250 0.250 0.655
Ru 0.405 0.750 0.000
Ru 0.595 0.595 0.345
Ru 0.750 0.405 0.000
```

Summary:
- calculated formation energy (eV/f.u.) = -3.72
- V (Å³ per atom) = 21.68
- symmetry = No. 121

***

Record 6
This record from Materials Project describes a relaxed Be3Nb crystal. The functional is PBE-GGA. Values from VASP.

Quantum ESPRESSO input file:
```
&SYSTEM
  ibrav = 0, nat = 12, ntyp = 2
/
ATOMIC_SPECIES
Be 9.01 Be.upf
Nb 92.91 Nb.upf
CELL_PARAMETERS angstrom
2.283 1.318 7.025
-2.283 1.318 7.025
0.000 -2.636 7.025
ATOMIC_POSITIONS crystal
Be 0.000 0.000 0.000
Be 0.084 0.084 0.576
Be 0.084 0.576 0.084
Be 0.166 0.166 0.166
Be 0.424 0.916 0.916
Be 0.576 0.084 0.084
Be 0.834 0.834 0.834
Be 0.916 0.424 0.916
Be 0.916 0.916 0.424
Nb 0.360 0.360 0.360
Nb 0.500 0.500 0.500
Nb 0.640 0.640 0.640
```

Summary:
- calculated formation energy (eV/f.u.) = -0.94
- V (Å³ per atom) = 10.57
- symmetry = No. 166

***

Record 7
This record from Materials Project describes a relaxed YCl crystal. The functional is PBE-GGA. Values from VASP.

Quantum ESPRESSO input file:
```
&SYSTEM
  ibrav = 0, nat = 4, ntyp = 2
/
ATOMIC_SPECIES
Y 88.91 Y.upf
Cl 35.45 Cl.upf
CELL_PARAMETERS angstrom
1.882 1.087 9.432
-1.882 1.087 9.432
0.000 -2.174 9.432
ATOMIC_POSITIONS crystal
Y 0.216 0.216 0.216
Y 0.784 0.784 0.784
Cl 0.389 0.389 0.389
Cl 0.611 0.611 0.611
```

Summary:
- calculated formation energy (eV/f.u.) = -3.59
- V (Å³ per atom) = 28.95
- symmetry = No. 166

***

Record 8
This record from Materials Project describes a relaxed Rb2PdSe2 crystal. The functional is PBE-GGA. Values from VASP.

Quantum ESPRESSO input file:
```
&SYSTEM
  ibrav = 0, nat = 5, ntyp = 3
/
ATOMIC_SPECIES
Rb 85.47 Rb.upf
Pd 106.42 Pd.upf
Se 78.96 Se.upf
CELL_PARAMETERS angstrom
-1.937 3.855 5.138
1.937 -3.855 5.138
1.937 3.855 -5.138
ATOMIC_POSITIONS crystal
Rb 0.193 0.193 0.000
Rb 0.807 0.807 0.000
Pd 0.500 0.000 0.500
Se 0.289 0.500 0.789
Se 0.711 0.500 0.211
```

Summary:
- calculated formation energy (eV/f.u.) = -5.33
- V (Å³ per atom) = 30.69
- symmetry = No. 71

***

The lowest V belongs to which entry?
Be3Nb